1.
ErBi2ClO4 | PBE | optimized geometry

abc: 3.880 3.880 9.000
angles: 90.00 90.00 90.00
Fractional coordinates of all 8 atoms:
Er 0.000 0.000 0.000
Bi 0.500 0.500 0.278
Bi 0.500 0.500 0.722
Cl 0.000 0.000 0.500
O 0.000 0.500 0.152
O 0.000 0.500 0.848
O 0.500 0.000 0.152
O 0.500 0.000 0.848

Calculated values
The formation energy is -19.19 eV per formula unit. The total energy is -6.3039 eV/atom. The symmetry is P4/mmm, No. 123.

2.
RbAsO4 | PBE | optimized geometry

abc: 6.631 6.631 6.631
angles: 110.06 110.06 108.29
Fractional coordinates of all 12 atoms:
Rb 0.000 0.000 0.000
Rb 0.750 0.250 0.500
As 0.250 0.750 0.500
As 0.500 0.500 0.000
O 0.014 0.464 0.244
O 0.214 0.264 0.744
O 0.220 0.770 0.756
O 0.230 0.986 0.450
O 0.520 0.470 0.256
O 0.530 0.786 0.050
O 0.536 0.780 0.550
O 0.736 0.480 0.950

Calculated values
The formation energy is -7.98 eV per formula unit. The total energy is -5.1113 eV/atom. The symmetry is I-42d, No. 122.